1.
The following is a PBE calculation of a relaxed structure of TaTiTc2, from Materials Project.

Results
E = -10.652 eV per atom
energy of formation from the pure elements = -0.5336 eV/atom

Cell lengths 6.304, 6.304, 6.304 Å; angles 90.00, 90.00, 90.00 degrees
Space group Fm-3m (No. 225)
Unique sites:
Ta 0.000 0.000 0.000 x4
Ti 0.000 0.000 0.500 x4
Tc 0.250 0.250 0.250 x8



2.
The following is a PBE calculation of a relaxed structure of ZrTaTc2, from Materials Project.

Results
E = -10.723 eV per atom
energy of formation from the pure elements = -0.4415 eV/atom

Cell lengths 6.479, 6.479, 6.479 Å; angles 90.00, 90.00, 90.00 degrees
Space group Fm-3m (No. 225)
Unique sites:
Zr 0.000 0.000 0.000 x4
Ta 0.000 0.000 0.500 x4
Tc 0.250 0.250 0.250 x8



3.
The following is a PBE calculation of a relaxed structure of TaTe2, from Materials Project.

Results
E = -6.410 eV per atom
corrected total energy (MP2020 scheme) = -6.691 eV/atom
energy of formation from the pure elements = -0.6434 eV/atom

Cell lengths 15.282, 3.667, 9.667 Å; angles 90.00, 112.76, 90.00 degrees
Space group C2/m (No. 12)
Unique sites:
Ta 0.000 0.000 0.000 x2
Ta 0.138 0.500 0.287 x4
Te 0.008 0.000 0.306 x4
Te 0.146 0.500 0.014 x4
Te 0.207 0.500 0.616 x4



4.
The following is a PBE calculation of a relaxed structure of Ta2Te3, from Materials Project.

Results
E = -6.986 eV per atom
corrected total energy (MP2020 scheme) = -7.239 eV/atom
energy of formation from the pure elements = -0.6099 eV/atom

Cell lengths 15.357, 3.511, 12.579 Å; angles 90.00, 124.75, 90.00 degrees
Space group C2/m (No. 12)
Unique sites:
Ta 0.084 0.000 0.145 x4
Ta 0.227 0.500 0.389 x4
Te 0.072 0.000 0.360 x4
Te 0.099 0.500 0.972 x4
Te 0.194 0.500 0.712 x4



5.
The following is a PBE calculation of a relaxed structure of TaTe4, from Materials Project.

Results
energy relative to the lowest polymorph listed for this composition = 14 meV/atom
E = -5.136 eV per atom
corrected total energy (MP2020 scheme) = -5.474 eV/atom
energy of formation from the pure elements = -0.5878 eV/atom

Cell lengths 6.621, 6.621, 6.938 Å; angles 90.00, 90.00, 90.00 degrees
Space group P4/mcc (No. 124)
Unique sites:
Ta 0.000 0.000 0.250 x2
Te 0.141 0.322 0.000 x8



6.
The following is a PBE calculation of a relaxed structure of TaTe4, from Materials Project.

Results
energy relative to the lowest polymorph listed for this composition = 0 meV/atom
E = -5.150 eV per atom
corrected total energy (MP2020 scheme) = -5.488 eV/atom
total magnetic moment = 0.02 μB/cell
energy of formation from the pure elements = -0.6019 eV/atom

Cell lengths 13.269, 13.269, 20.918 Å; angles 90.00, 90.00, 90.00 degrees
Space group P4/ncc (No. 130, origin choice 2)
Unique sites:
Ta 0.250 0.250 0.070 x4
Ta 0.250 0.250 0.265 x4
Ta 0.250 0.250 0.418 x4
Ta 0.250 0.750 0.097 x8
Ta 0.250 0.750 0.250 x4
Te 0.084 0.181 0.337 x16
Te 0.086 0.677 0.330 x16
Te 0.087 0.172 0.998 x16
Te 0.087 0.672 0.669 x16
Te 0.095 0.691 0.001 x16
Te 0.098 0.187 0.667 x16



7.
The following is a PBE calculation of a relaxed structure of TaTe2, from Materials Project.

Results
E = -6.411 eV per atom
corrected total energy (MP2020 scheme) = -6.692 eV/atom
energy of formation from the pure elements = -0.6442 eV/atom

Cell lengths 15.513, 10.954, 9.669 Å; angles 90.00, 112.89, 90.00 degrees
Space group C2/m (No. 12)
Unique sites:
Ta 0.000 0.000 0.000 x2
Ta 0.000 0.304 0.000 x4
Ta 0.137 0.500 0.288 x4
Ta 0.140 0.162 0.287 x8
Te 0.009 0.000 0.306 x4
Te 0.010 0.329 0.304 x8
Te 0.132 0.500 0.012 x4
Te 0.151 0.161 0.015 x8
Te 0.205 0.500 0.617 x4
Te 0.210 0.166 0.617 x8



8.
The following is a PBE calculation of a relaxed structure of TaTe4, from Materials Project.

Results
energy relative to the lowest polymorph listed for this composition = 3 meV/atom
E = -5.147 eV per atom
corrected total energy (MP2020 scheme) = -5.485 eV/atom
energy of formation from the pure elements = -0.5987 eV/atom

Cell lengths 9.374, 9.374, 20.910 Å; angles 90.00, 90.00, 90.00 degrees
Space group P4/ncc (No. 130, origin choice 2)
Unique sites:
Ta 0.250 0.250 0.069 x4
Ta 0.250 0.250 0.264 x4
Ta 0.250 0.250 0.416 x4
Te 0.009 0.165 0.336 x16
Te 0.013 0.158 0.997 x16
Te 0.037 0.154 0.666 x16



9.
The following is a PBE calculation of a relaxed structure of Ta21Te13, from Materials Project.

Results
E = -8.778 eV per atom
corrected total energy (MP2020 scheme) = -8.939 eV/atom
total magnetic moment = 0.00 μB/cell
energy of formation from the pure elements = -0.4135 eV/atom

Cell lengths 33.898, 19.571, 10.700 Å; angles 90.00, 90.03, 90.00 degrees
Space group Cm (No. 8)
Unique sites:
Ta 0.000 0.000 0.000 x2
Ta 0.000 0.072 0.241 x4
Ta 0.000 0.232 0.203 x4
Ta 0.000 0.352 0.405 x4
Ta 0.000 0.500 0.281 x2
Ta 0.041 0.128 0.025 x4
Ta 0.042 0.375 0.172 x4
Ta 0.071 0.142 0.280 x4
Ta 0.073 0.282 0.363 x4
Ta 0.074 0.426 0.405 x4
Ta 0.075 0.000 0.156 x2
Ta 0.082 0.255 0.097 x4
Ta 0.083 0.500 0.172 x2
Ta 0.125 0.125 0.070 x4
Ta 0.134 0.366 0.203 x4
Ta 0.143 0.072 0.321 x4
Ta 0.144 0.215 0.280 x4
Ta 0.146 0.500 0.363 x2
Ta 0.164 0.500 0.097 x2
Ta 0.165 0.252 0.025 x4
Ta 0.167 0.000 0.095 x2
Ta 0.207 0.376 0.025 x4
Ta 0.213 0.138 0.156 x4
Ta 0.214 0.286 0.241 x4
Ta 0.214 0.427 0.280 x4
Ta 0.215 0.000 0.321 x2
Ta 0.250 0.000 0.070 x2
Ta 0.250 0.250 0.000 x4
Ta 0.250 0.500 0.070 x2
Ta 0.285 0.500 0.321 x2
Ta 0.286 0.073 0.281 x4
Ta 0.286 0.214 0.241 x4
Ta 0.287 0.362 0.156 x4
Ta 0.293 0.124 0.025 x4
Ta 0.333 0.500 0.095 x2
Ta 0.335 0.248 0.025 x4
Ta 0.337 0.000 0.097 x2
Ta 0.354 0.000 0.363 x2
Ta 0.356 0.285 0.281 x4
Ta 0.357 0.428 0.321 x4
Ta 0.366 0.134 0.203 x4
Ta 0.375 0.375 0.070 x4
Ta 0.417 0.000 0.172 x2
Ta 0.418 0.245 0.097 x4
Ta 0.425 0.500 0.156 x2
Ta 0.426 0.074 0.405 x4
Ta 0.427 0.218 0.363 x4
Ta 0.430 0.358 0.281 x4
Ta 0.458 0.125 0.172 x4
Ta 0.459 0.372 0.025 x4
Te 0.000 0.099 0.800 x4
Te 0.000 0.172 0.444 x4
Te 0.000 0.301 0.973 x4
Te 0.000 0.500 0.025 x2
Te 0.000 0.500 0.537 x2
Te 0.056 0.333 0.604 x4
Te 0.058 0.000 0.413 x2
Te 0.099 0.202 0.858 x4
Te 0.099 0.401 0.973 x4
Te 0.103 0.000 0.910 x2
Te 0.110 0.169 0.512 x4
Te 0.111 0.500 0.604 x2
Te 0.164 0.336 0.444 x4
Te 0.167 0.000 0.542 x2
Te 0.198 0.500 0.858 x2
Te 0.199 0.096 0.910 x4
Te 0.200 0.300 0.800 x4
Te 0.220 0.500 0.512 x2
Te 0.221 0.164 0.413 x4
Te 0.279 0.336 0.413 x4
Te 0.280 0.000 0.512 x2
Te 0.300 0.200 0.800 x4
Te 0.301 0.404 0.910 x4
Te 0.302 0.000 0.858 x2
Te 0.333 0.500 0.542 x2
Te 0.336 0.164 0.444 x4
Te 0.389 0.000 0.604 x2
Te 0.390 0.331 0.512 x4
Te 0.397 0.500 0.910 x2
Te 0.401 0.099 0.973 x4
Te 0.401 0.298 0.858 x4
Te 0.442 0.500 0.413 x2
Te 0.444 0.167 0.604 x4



Question: What is the formula in the fifth record?
Answer: TaTe4